VASP calculation (PBE-GGA) on an optimized crystal structure of Ca2P6O17.

a b c (Å): 18.405 5.862 7.798
angles (deg): 67.94 90.00 90.00
Fractional coordinates of all 50 atoms:
Ca 0.573 0.907 0.606
Ca 0.926 0.911 0.106
Ca 0.073 0.093 0.394
Ca 0.426 0.089 0.894
P 0.320 0.685 0.727
P 0.332 0.727 0.333
P 0.179 0.685 0.227
P 0.972 0.517 0.556
P 0.472 0.483 0.444
P 0.167 0.728 0.831
P 0.832 0.273 0.667
P 0.528 0.506 0.054
P 0.028 0.494 0.946
P 0.820 0.315 0.273
P 0.667 0.272 0.169
P 0.679 0.315 0.773
O 0.138 0.939 0.673
O 0.312 0.804 0.501
O 0.160 0.892 0.284
O 0.362 0.935 0.176
O 0.987 0.766 0.408
O 0.497 0.713 0.462
O 0.636 0.547 0.716
O 0.187 0.801 0.000
O 0.883 0.507 0.587
O 0.339 0.892 0.784
O 0.763 0.400 0.712
O 0.263 0.600 0.288
O 0.511 0.762 0.918
O 0.383 0.493 0.413
O 0.009 0.714 0.988
O 0.864 0.545 0.217
O 0.136 0.453 0.284
O 0.496 0.469 0.252
O 0.997 0.287 0.538
O 0.615 0.504 0.095
O 0.487 0.234 0.592
O 0.736 0.401 0.212
O 0.236 0.599 0.788
O 0.660 0.108 0.716
O 0.115 0.496 0.905
O 0.812 0.196 0.499
O 0.996 0.531 0.748
O 0.364 0.455 0.783
O 0.509 0.286 0.012
O 0.011 0.238 0.082
O 0.638 0.061 0.327
O 0.839 0.108 0.216
O 0.687 0.199 0.000
O 0.862 0.065 0.824

ΔE_f = -2.8564 eV per atom